Entry from the Materials Project: an optimized crystal structure of CaMg (PBE).

a b c (Å): 3.645 3.645 17.054
angles (deg): 90.00 90.00 120.00
Fractional coordinates of all 6 atoms:
Ca 0.000 0.000 0.653
Ca 0.333 0.667 0.842
Ca 0.333 0.667 0.172
Mg 0.000 0.000 0.007
Mg 0.000 0.000 0.339
Mg 0.333 0.667 0.488

Summary:
Theoretical density (g/cm3): 1.6
Symmetry: P3m1, No. 156
E_tot (eV/f.u.): -3.44
Calculated volume (A^3/atom): 32.697
Energy relative to the elements (eV/atom): 0.0847
Total magnetization (μB per formula unit): 0.1

---

Entry from the Materials Project: an optimized crystal structure of CaMg (PBE).

a b c (Å): 7.031 7.031 8.208
angles (deg): 74.60 74.60 29.76
Fractional coordinates of all 6 atoms:
Ca 0.611 0.611 0.253
Ca 0.333 0.333 0.327
Ca 0.945 0.945 0.635
Mg 0.667 0.667 0.679
Mg 0.274 0.274 0.944
Mg 0.003 0.003 0.995

Summary:
Theoretical density (g/cm3): 1.7
Symmetry: Cm, No. 8
E_tot (eV/f.u.): -3.53
Calculated volume (A^3/atom): 32.274
Energy relative to the elements (eV/atom): 0.0367
Total magnetization (μB per formula unit): 0.0

---

Entry from the Materials Project: an optimized crystal structure of CaMg2 (PBE).

a b c (Å): 6.219 6.219 6.219
angles (deg): 60.00 60.00 60.00
Fractional coordinates of all 6 atoms:
Ca 0.500 0.500 0.500
Ca 0.750 0.750 0.750
Mg 0.625 0.125 0.125
Mg 0.125 0.125 0.125
Mg 0.125 0.125 0.625
Mg 0.125 0.625 0.125

Summary:
Theoretical density (g/cm3): 1.7
Symmetry: Fd-3m, No. 227
E_tot (eV/f.u.): -5.52
Calculated volume (A^3/atom): 28.345
Energy relative to the elements (eV/atom): -0.1038

---

Entry from the Materials Project: an optimized crystal structure of CaMg3 (PBE).

a b c (Å): 3.529 5.374 5.797
angles (deg): 90.00 90.00 90.00
Fractional coordinates of all 4 atoms:
Mg 0.500 0.500 0.344
Mg 0.000 0.500 0.819
Mg 0.500 0.000 0.663
Ca 0.000 0.000 0.173

Summary:
Theoretical density (g/cm3): 1.7
Symmetry: Pmm2, No. 25
E_tot (eV/f.u.): -6.71
Calculated volume (A^3/atom): 27.491
Energy relative to the elements (eV/atom): 0.0231
Total magnetization (μB per formula unit): 0.0